This record from Materials Project describes a relaxed Na4Zr2Ta2Si5SO24 crystal. The functional is PBE-GGA.

a b c (Å): 9.0206 9.0427 22.9331
angles (deg): 89.86 90.20 119.87
Last column: nearest neighbours and their distance in Å.
Element x y z (fractional)
Si (0.0015, 0.7110, 0.7518)  4 O 1.61-1.66
Si (0.9590, 0.6285, 0.0830)  4 O 1.62-1.66
Si (0.0511, 0.3776, 0.9171)  4 O 1.62-1.68
Si (0.6274, 0.9604, 0.4182)  4 O 1.61-1.67
Si (0.2940, 0.9999, 0.2510)  4 O 1.61-1.66
Si (0.6672, 0.0426, 0.0848)  4 O 1.63-1.65
Si (0.7022, 0.9976, 0.7469)  4 O 1.62-1.65
Si (0.0099, 0.3000, 0.2476)  4 O 1.62-1.67
Si (0.3351, 0.3737, 0.4186)  4 O 1.61-1.66
Si (0.6759, 0.6218, 0.5821)  4 O 1.63-1.64
Si (0.9522, 0.3328, 0.5846)  4 O 1.62-1.66
Si (0.3763, 0.0467, 0.5852)  4 O 1.61-1.67
Si (0.7087, 0.7016, 0.2520)  4 O 1.60-1.67
Si (0.2907, 0.2823, 0.7488)  4 O 1.60-1.68
Si (0.6237, 0.6649, 0.9159)  4 O 1.62-1.67
S (0.3340, 0.9514, 0.9142)  4 O 1.47-1.48
S (0.0401, 0.6609, 0.4167)  4 O 1.46-1.49
S (0.3801, 0.3311, 0.0839)  4 O 1.47-1.50
O (0.6427, 0.1512, 0.4246)  1 Si 1.67
O (0.8479, 0.0429, 0.0875)  1 Si 1.63
O (0.9823, 0.8171, 0.0874)  1 Si 1.62
O (0.3272, 0.8371, 0.2610)  1 Si 1.66
O (0.8297, 0.0442, 0.8025)  1 Si 1.62
O (0.8258, 0.7855, 0.3085)  1 Si 1.60
O (0.1931, 0.0412, 0.5925)  1 Si 1.64
O (0.3122, 0.8500, 0.9677)  1 S 1.48
O (0.5051, 0.6565, 0.8587)  1 Si 1.67
O (0.5310, 0.8530, 0.4770)  1 Si 1.64
O (0.2066, 0.1825, 0.0874)  1 S 1.47
O (0.4834, 0.3165, 0.7401)  1 Si 1.62
O (0.0402, 0.2239, 0.1878)  1 Si 1.62
O (0.3617, 0.4870, 0.0817)  1 S 1.50
O (0.8342, 0.3164, 0.2407)  1 Si 1.67
O (0.6748, 0.5104, 0.2389)  1 Si 1.63
O (0.7820, 0.8301, 0.1959)  1 Si 1.64
O (0.4815, 0.3471, 0.1364)  1 S 1.47
O (0.1478, 0.5000, 0.8589)  1 Si 1.68
O (0.8611, 0.3524, 0.6430)  1 Si 1.63
O (0.3658, 0.8637, 0.5809)  1 Si 1.61
O (0.5167, 0.3692, 0.4232)  1 Si 1.66
O (0.1761, 0.9619, 0.9102)  1 S 1.48
O (0.3013, 0.4719, 0.7562)  1 Si 1.68
O (0.8452, 0.4987, 0.1368)  1 Si 1.66
O (0.1688, 0.6828, 0.7566)  1 Si 1.65
O (0.1452, 0.4933, 0.5809)  1 Si 1.62
O (0.9563, 0.1661, 0.3015)  1 Si 1.63
O (0.4898, 0.1624, 0.2402)  1 Si 1.66
O (0.5026, 0.1463, 0.6397)  1 Si 1.63
O (0.1736, 0.1836, 0.4125)  1 Si 1.61
O (0.6337, 0.4892, 0.9164)  1 Si 1.64
O (0.2094, 0.0341, 0.3073)  1 Si 1.61
O (0.1656, 0.1985, 0.6914)  1 Si 1.65
O (0.6972, 0.5258, 0.5256)  1 Si 1.63
O (0.4619, 0.3173, 0.0305)  1 S 1.47
O (0.8507, 0.5427, 0.0223)  1 Si 1.65
O (0.7962, 0.9707, 0.6895)  1 Si 1.65
O (0.5184, 0.6863, 0.2614)  1 Si 1.67
O (0.8409, 0.5173, 0.7401)  1 Si 1.65
O (0.1258, 0.6424, 0.3646)  1 S 1.48
O (0.1674, 0.4902, 0.2622)  1 Si 1.63
O (0.6845, 0.1618, 0.0283)  1 Si 1.64
O (0.2047, 0.1703, 0.8058)  1 Si 1.60
O (0.8246, 0.3005, 0.5288)  1 Si 1.64
O (0.6890, 0.1700, 0.7391)  1 Si 1.63
O (0.1750, 0.9656, 0.1938)  1 Si 1.62
O (0.0200, 0.8112, 0.4127)  1 S 1.46
O (0.5057, 0.8635, 0.3608)  1 Si 1.66
O (0.1382, 0.6231, 0.0826)  1 Si 1.64
O (0.5331, 0.6922, 0.9728)  1 Si 1.62
O (0.8135, 0.9772, 0.4134)  1 Si 1.61
O (0.4658, 0.1701, 0.5271)  1 Si 1.67
O (0.3516, 0.5006, 0.3638)  1 Si 1.66
O (0.9644, 0.1560, 0.5911)  1 Si 1.66
O (0.1542, 0.4742, 0.9760)  1 Si 1.62
O (0.6468, 0.5006, 0.6385)  1 Si 1.63
O (0.5142, 0.8301, 0.7563)  1 Si 1.63
O (0.8410, 0.8137, 0.5904)  1 Si 1.64
O (0.3129, 0.4596, 0.4783)  1 Si 1.64
O (0.3536, 0.8670, 0.8620)  1 S 1.48
O (0.5050, 0.6421, 0.5796)  1 Si 1.64
O (0.4975, 0.8544, 0.0833)  1 Si 1.63
O (0.8629, 0.3686, 0.9163)  1 Si 1.66
O (0.4850, 0.1227, 0.9189)  1 S 1.47
O (0.6505, 0.1414, 0.1428)  1 Si 1.65
O (0.8194, 0.8243, 0.9119)  1 Si 1.63
O (0.0244, 0.8372, 0.6958)  1 Si 1.66
O (0.9713, 0.7874, 0.8109)  1 Si 1.61
O (0.8702, 0.5025, 0.4216)  1 S 1.49
O (0.1417, 0.6794, 0.4699)  1 S 1.48
O (0.0318, 0.1904, 0.9130)  1 Si 1.62
Zr (0.3351, 0.6644, 0.5210)  6 O 2.01-2.17
Zr (0.9923, 0.9873, 0.1504)  5 O 2.01-2.16
Zr (0.3444, 0.6727, 0.0230)  6 O 1.99-2.22
Zr (0.6819, 0.3404, 0.9775)  4 O 1.99-2.13
Zr (0.0013, 0.0076, 0.3510)  5 O 2.02-2.13
Zr (0.9909, 0.0059, 0.8515)  5 O 2.00-2.12
Ta (0.6668, 0.3370, 0.6872)  6 O 1.93-2.01
Ta (0.3433, 0.6670, 0.3132)  5 O 1.92-2.01
Ta (0.9966, 0.9937, 0.6465)  6 O 1.92-2.06
Ta (0.6554, 0.3239, 0.4796)  5 O 1.92-1.99
Ta (0.3364, 0.6550, 0.8084)  5 O 1.90-2.03
Ta (0.6755, 0.3330, 0.1893)  5 O 1.91-1.99
Na (0.6579, 0.3401, 0.3349)  6 O 2.48-2.76
Na (0.0240, 0.3309, 0.0851)  2 O 2.28-2.31
Na (0.2975, 0.3376, 0.5810)  5 O 2.37-2.62
Na (0.6667, 0.9659, 0.5799)  5 O 2.37-2.62
Na (0.9595, 0.6653, 0.9129)  5 O 2.34-2.56
Na (0.9921, 0.3573, 0.7495)  4 O 2.41-2.56
Na (0.6494, 0.3308, 0.8328)  6 O 2.44-2.73
Na (0.3272, 0.6780, 0.1673)  6 O 2.46-2.74
Na (0.6463, 0.0000, 0.2509)  7 O 2.49-2.78
Na (0.3293, 0.6797, 0.6638)  5 O 2.44-2.63
Na (0.9739, 0.9904, 0.0019)  4 O 2.43-2.60
Na (0.9983, 0.0006, 0.4918)  3 O 2.38-2.57

Values from the calculation:
The energy relative to the elements is -3.059 eV per atom. Its uncorrected energy is -0.28614 Ha/atom. The calculation puts the total energy after the MP2020 corrections at -312.36 eV/f.u.